[1]
P6Pb10O25 | PBE-GGA | optimized geometry

Cell lengths 10.030, 10.030, 7.496 Å; angles 90.00, 90.00, 120.00 degrees
Sites, in units of the cell vectors:
O 0.667 0.333 0.685
O 0.562 0.755 0.250
O 0.123 0.206 0.754
O 0.329 0.065 0.917
Pb 0.000 0.000 0.995
O 0.164 0.479 0.747
Pb 0.669 0.109 0.731
Pb 0.333 0.667 0.509
O 0.736 0.671 0.917
P 0.263 0.958 0.751
Pb 0.000 0.000 0.505
O 0.404 0.423 0.420
Pb 0.891 0.560 0.731
O 0.407 0.425 0.087
Pb 0.410 0.070 0.245
O 0.245 0.807 0.250
O 0.196 0.185 0.251
O 0.575 0.982 0.087
Pb 0.440 0.331 0.731
P 0.695 0.737 0.751
O 0.989 0.804 0.251
P 0.639 0.936 0.251
O 0.794 0.917 0.754
O 0.018 0.593 0.087
O 0.815 0.011 0.251
P 0.298 0.361 0.251
O 0.019 0.596 0.420
O 0.577 0.981 0.420
P 0.042 0.305 0.751
O 0.316 0.836 0.747
O 0.521 0.684 0.747
Pb 0.930 0.340 0.245
Pb 0.660 0.590 0.245
O 0.083 0.877 0.754
O 0.193 0.438 0.250
O 0.937 0.257 0.581
O 0.320 0.063 0.581
P 0.064 0.702 0.251
Pb 0.333 0.667 0.989
O 0.743 0.680 0.581
O 0.935 0.264 0.917

Computed properties:
- Calculated formation energy: -2.29 eV/atom
- Polymorph energy (0 for the lowest one): 0.0 meV/atom
- Space-group type: No. 143
- V: 15.9 A^3/atom
- Energy: -6.59 eV/atom

=====

[2]
Mg17Al11Tl | PBE-GGA | optimized geometry

Cell lengths 9.178, 9.178, 9.205 Å; angles 70.57, 70.57, 109.11 degrees
Sites, in units of the cell vectors:
Mg 0.391 0.686 0.998
Mg 0.279 0.599 0.404
Mg 0.008 0.659 0.994
Al 0.366 0.185 0.001
Al 0.003 0.367 0.816
Al 0.367 0.003 0.816
Mg 0.318 0.713 0.683
Al 0.636 0.824 0.371
Al 0.002 0.189 0.633
Mg 0.001 0.684 0.605
Mg 0.659 0.008 0.994
Mg 0.602 0.602 0.715
Mg 0.713 0.318 0.683
Mg 0.341 0.341 0.664
Mg 0.004 0.004 0.998
Al 0.824 0.636 0.371
Al 0.817 0.181 0.185
Al 0.181 0.817 0.185
Mg 0.684 0.001 0.605
Al 0.185 0.366 0.001
Al 0.189 0.002 0.633
Mg 0.305 0.305 0.287
Al 0.827 0.827 0.798
Mg 0.995 0.995 0.345
Mg 0.599 0.279 0.404
Mg 0.998 0.398 0.317
Mg 0.686 0.391 0.998
Mg 0.398 0.998 0.317
Tl 0.625 0.625 0.178

Computed properties:
- Calculated formation energy: -0.01 eV/atom
- Space-group type: No. 8
- V: 20.7 A^3/atom
- Energy: -2.46 eV/atom

=====

[3]
I | PBE-GGA | optimized geometry

Cell lengths 3.235, 3.235, 4.840 Å; angles 109.53, 109.53, 90.00 degrees
Sites, in units of the cell vectors:
I 0.000 0.000 0.000

Computed properties:
- Calculated formation energy: 0.12 eV/atom
- Polymorph energy (0 for the lowest one): 119.4 meV/atom
- Space-group type: No. 139
- V: 44.6 A^3/atom
- Energy: -1.40 eV/atom

=====

[4]
Na42Nb8Zn16Si21S15O144 | PBE-GGA | optimized geometry

Cell lengths 18.347, 9.139, 22.323 Å; angles 89.98, 90.13, 119.91 degrees
Sites, in units of the cell vectors:
O 0.779 0.860 0.476
O 0.248 0.125 0.918
O 0.808 0.514 0.642
Na 0.975 0.282 0.417
O 0.834 0.135 0.743
Na 0.487 0.346 0.748
O 0.253 0.848 0.359
O 0.163 0.847 0.577
O 0.916 0.817 0.590
Si 0.981 0.333 0.584
O 0.746 0.120 0.915
O 0.675 0.487 0.364
O 0.246 0.381 0.411
Na 0.016 0.672 0.583
O 0.068 0.662 0.080
O 0.398 0.822 0.198
O 0.268 0.708 0.250
O 0.855 0.161 0.024
O 0.819 0.151 0.415
Si 0.318 0.665 0.917
O 0.595 0.204 0.412
Si 0.500 0.696 0.755
Na 0.854 0.680 0.421
O 0.493 0.169 0.589
S 0.668 0.376 0.417
O 0.571 0.476 0.580
S 0.022 0.667 0.417
Si 0.191 0.046 0.579
O 0.094 0.030 0.592
O 0.902 0.834 0.197
S 0.523 0.379 0.918
O 0.904 0.761 0.312
O 0.411 0.836 0.911
Si 0.812 0.662 0.923
Na 0.160 0.356 0.580
O 0.077 0.489 0.577
O 0.095 0.986 0.912
Nb 0.496 0.005 0.146
Nb 0.996 0.006 0.156
S 0.166 0.380 0.416
O 0.093 0.207 0.412
O 0.218 0.305 0.028
Na 0.506 0.350 0.082
O 0.656 0.450 0.473
O 0.165 0.487 0.363
Na 0.661 0.660 0.164
Si 0.314 0.962 0.422
Na 0.338 0.336 0.330
Zn 0.492 0.992 0.355
O 0.168 0.471 0.084
O 0.330 0.526 0.647
O 0.938 0.513 0.411
O 0.404 0.040 0.815
Zn 0.675 0.684 0.508
O 0.823 0.132 0.145
O 0.667 0.864 0.584
O 0.089 0.492 0.256
Na 0.332 0.328 0.827
O 0.256 0.656 0.584
O 0.417 0.012 0.091
O 0.319 0.484 0.916
Si 0.482 0.629 0.083
O 0.754 0.855 0.358
O 0.361 0.560 0.526
Na 0.995 0.007 0.492
Na 0.324 0.627 0.743
Si 0.502 0.296 0.256
O 0.744 0.322 0.748
O 0.765 0.829 0.754
Zn 0.844 0.368 0.683
Zn 0.845 0.337 0.976
O 0.766 0.685 0.981
O 0.434 0.301 0.530
Na 0.858 0.042 0.923
O 0.669 0.852 0.866
Si 0.835 0.047 0.085
S 0.666 0.956 0.917
Nb 0.495 0.986 0.656
O 0.253 0.649 0.859
Na 0.012 0.339 0.069
Na 0.172 0.053 0.418
O 0.335 0.535 0.240
Na 0.321 0.955 0.579
O 0.420 0.312 0.249
O 0.010 0.830 0.696
O 0.259 0.818 0.756
O 0.570 0.469 0.972
O 0.731 0.141 0.249
O 0.896 0.016 0.808
Zn 0.332 0.338 0.484
O 0.069 0.660 0.359
O 0.156 0.862 0.974
O 0.585 0.198 0.694
O 0.931 0.564 0.029
O 0.434 0.499 0.136
Na 0.657 0.956 0.085
Si 0.347 0.004 0.756
Na 0.171 0.667 0.160
O 0.836 0.509 0.237
O 0.155 0.832 0.256
Zn 0.989 0.991 0.340
O 0.597 0.029 0.589
Na 0.822 0.618 0.742
O 0.403 0.972 0.699
O 0.576 0.694 0.479
O 0.515 0.842 0.411
O 0.517 0.211 0.917
Na 0.973 0.660 0.906
Si 0.827 0.621 0.580
O 0.089 0.699 0.760
Na 0.493 0.981 0.494
O 0.099 0.012 0.314
Na 0.832 0.335 0.331
Zn 0.837 0.334 0.186
Na 0.831 0.973 0.570
O 0.664 0.465 0.081
O 0.230 0.324 0.751
Na 0.660 0.349 0.588
Si 0.327 0.032 0.080
O 0.427 0.582 0.021
Na 0.824 0.017 0.247
S 0.183 0.325 0.085
S 0.143 0.291 0.753
O 0.492 0.179 0.313
Nb 0.168 0.680 0.311
O 0.253 0.129 0.634
Na 0.356 0.670 0.428
O 0.930 0.360 0.914
Si 0.649 0.278 0.754
O 0.511 0.190 0.194
O 0.911 0.983 0.411
Na 0.671 0.676 0.657
O 0.815 0.485 0.921
O 0.407 0.980 0.417
O 0.236 0.343 0.137
O 0.514 0.827 0.697
O 0.596 0.160 0.091
Si 0.001 0.710 0.756
O 0.078 0.502 0.862
O 0.157 0.456 0.472
O 0.075 0.458 0.980
O 0.268 0.841 0.477
O 0.339 0.167 0.743
O 0.748 0.659 0.575
Na 0.320 0.027 0.246
O 0.485 0.776 0.814
O 0.984 0.188 0.313
Nb 0.165 0.660 0.812
Si 0.021 0.371 0.919
O 0.851 0.546 0.522
O 0.736 0.347 0.136
O 0.748 0.371 0.416
O 0.355 0.160 0.023
O 0.718 0.130 0.527
O 0.176 0.864 0.865
O 0.924 0.025 0.091
Zn 0.490 0.984 0.838
Na 0.510 0.679 0.568
O 0.593 0.982 0.913
O 0.447 0.348 0.639
Na 0.328 0.682 0.069
Si 0.149 0.018 0.254
Nb 0.002 0.988 0.642
Zn 0.991 0.992 0.853
O 0.905 0.830 0.918
Na 0.491 0.977 0.991
O 0.655 0.479 0.758
O 0.084 0.973 0.194
O 0.716 0.296 0.027
O 0.919 0.526 0.750
Na 0.354 0.028 0.917
O 0.603 0.005 0.307
O 0.989 0.161 0.600
Na 0.163 0.675 0.660
Si 0.001 0.305 0.256
O 0.014 0.185 0.912
O 0.759 0.701 0.254
O 0.317 0.142 0.416
S 0.485 0.327 0.584
Nb 0.665 0.667 0.313
O 0.397 0.778 0.306
S 0.683 0.040 0.585
O 0.751 0.651 0.862
O 0.219 0.161 0.518
Na 0.996 0.005 0.993
O 0.244 0.167 0.247
O 0.497 0.825 0.099
Na 0.470 0.287 0.410
O 0.439 0.365 0.914
O 0.893 0.968 0.699
O 0.590 0.482 0.257
O 0.570 0.481 0.862
O 0.248 0.838 0.075
S 0.169 0.960 0.918
Zn 0.330 0.324 0.681
O 0.925 0.270 0.521
Zn 0.344 0.321 0.184
O 0.656 0.865 0.974
O 0.068 0.667 0.470
S 0.683 0.325 0.084
O 0.311 0.104 0.142
Nb 0.670 0.658 0.810
Zn 0.673 0.687 0.021
Na 0.827 0.702 0.074
Na 0.839 0.338 0.826
O 0.991 0.802 0.815
O 0.942 0.543 0.138
O 0.652 0.837 0.252
Na 0.668 0.025 0.421
O 0.422 0.509 0.745
O 0.577 0.651 0.362
O 0.016 0.822 0.416
O 0.589 0.685 0.758
O 0.102 0.200 0.808
Zn 0.173 0.674 0.526
S 0.982 0.640 0.084
S 0.644 0.997 0.253
O 0.096 0.163 0.089
O 0.595 0.983 0.197
Na 0.669 0.290 0.907
Zn 0.842 0.329 0.493
Na 0.159 0.969 0.086
O 0.013 0.201 0.196
O 0.934 0.375 0.635
S 0.351 0.704 0.250
Si 0.846 0.689 0.253
Na 0.474 0.667 0.914
O 0.427 0.496 0.417
O 0.425 0.831 0.592
O 0.578 0.655 0.077
Si 0.819 0.971 0.416
Zn 0.175 0.666 0.006
Si 0.519 0.668 0.420
Si 0.337 0.628 0.586
Na 0.168 0.307 0.917
O 0.923 0.335 0.246
O 0.150 0.467 0.753
O 0.736 0.128 0.637
O 0.279 0.696 0.977
O 0.991 0.816 0.088
S 0.852 0.999 0.751
Na 0.988 0.635 0.252
O 0.755 0.854 0.085
O 0.094 0.207 0.698
O 0.600 0.185 0.814
Zn 0.343 0.358 0.989

Computed properties:
- Calculated formation energy: -2.39 eV/atom
- Space-group type: No. 1
- V: 13.2 A^3/atom
- Energy: -6.24 eV/atom

=====

[5]
La2Mn3Cu9P7 | PBE-GGA | optimized geometry

Cell lengths 9.542, 9.542, 3.874 Å; angles 90.00, 90.00, 120.00 degrees
Sites, in units of the cell vectors:
P 0.704 0.111 0.500
Mn 0.124 0.212 0.500
La 0.667 0.333 0.000
Cu 0.882 0.158 0.000
Cu 0.424 0.044 0.500
Mn 0.088 0.876 0.500
P 0.000 0.000 0.000
P 0.295 0.884 0.000
Cu 0.842 0.724 0.000
La 0.333 0.667 0.500
Cu 0.370 0.421 0.000
Cu 0.276 0.118 0.000
Cu 0.579 0.949 0.000
Cu 0.956 0.379 0.500
Cu 0.051 0.630 0.000
Cu 0.621 0.576 0.500
P 0.589 0.705 0.000
Mn 0.788 0.912 0.500
P 0.116 0.411 0.000
P 0.407 0.296 0.500
P 0.889 0.593 0.500

Computed properties:
- Calculated formation energy: -0.44 eV/atom
- Space-group type: No. 174
- V: 14.5 A^3/atom
- Energy: -5.78 eV/atom

=====

[6]
Mo2WSe6 | PBE-GGA | optimized geometry

Cell lengths 3.326, 3.326, 30.681 Å; angles 90.00, 90.00, 120.00 degrees
Sites, in units of the cell vectors:
Se 0.333 0.667 0.633
Mo 0.000 0.000 0.116
Se 0.000 0.000 0.292
Se 0.000 0.000 0.401
Se 0.333 0.667 0.170
W 0.000 0.000 0.578
Se 0.333 0.667 0.061
Se 0.333 0.667 0.524
Mo 0.333 0.667 0.347

Computed properties:
- Calculated formation energy: -0.95 eV/atom
- Space-group type: No. 156
- V: 32.7 A^3/atom
- Energy: -6.81 eV/atom

=====

[7]
AsO2 | PBE-GGA | optimized geometry

Cell lengths 5.325, 7.527, 8.961 Å; angles 90.00, 90.00, 90.00 degrees
Sites, in units of the cell vectors:
O 0.250 0.066 0.915
As 0.250 0.170 0.079
O 0.250 0.450 0.747
As 0.250 0.803 0.262
O 0.995 0.317 0.094
As 0.750 0.197 0.738
As 0.750 0.670 0.421
O 0.505 0.183 0.594
As 0.750 0.830 0.921
O 0.750 0.550 0.253
O 0.495 0.683 0.906
As 0.250 0.330 0.579
O 0.505 0.317 0.094
O 0.005 0.817 0.406
As 0.750 0.303 0.238
O 0.005 0.683 0.906
As 0.250 0.697 0.762
O 0.250 0.050 0.247
O 0.750 0.566 0.585
O 0.995 0.183 0.594
O 0.750 0.950 0.753
O 0.750 0.934 0.085
O 0.495 0.817 0.406
O 0.250 0.434 0.415

Computed properties:
- Calculated formation energy: -1.59 eV/atom
- Space-group type: No. 62
- V: 15.0 A^3/atom
- Energy: -5.98 eV/atom

=====

[8]
ZrSi2 | PBE-GGA | optimized geometry

Cell lengths 7.607, 7.607, 3.680 Å; angles 90.00, 90.00, 151.69 degrees
Sites, in units of the cell vectors:
Si 0.250 0.750 0.750
Si 0.750 0.250 0.250
Zr 0.105 0.895 0.250
Zr 0.895 0.105 0.750
Si 0.446 0.554 0.250
Si 0.554 0.446 0.750

Computed properties:
- Calculated formation energy: -0.60 eV/atom
- Space-group type: No. 63
- V: 16.8 A^3/atom
- Energy: -7.11 eV/atom

=====

[9]
PmLu3 | PBE-GGA | optimized geometry

Cell lengths 7.146, 7.146, 5.614 Å; angles 90.00, 90.00, 120.00 degrees
Sites, in units of the cell vectors:
Lu 0.671 0.836 0.250
Lu 0.164 0.329 0.250
Lu 0.836 0.671 0.750
Lu 0.329 0.164 0.750
Pm 0.333 0.667 0.750
Lu 0.836 0.164 0.750
Lu 0.164 0.836 0.250
Pm 0.667 0.333 0.250

Computed properties:
- Calculated formation energy: 0.01 eV/atom
- Space-group type: No. 194
- V: 31.0 A^3/atom
- Energy: -4.57 eV/atom